[1]
Here is a relaxed structure of Eu3Ag from Materials Project. Energies are from PBE.

Properties
- Space-group type: No. 221
- Magnetization: 22.58 Bohr magnetons per cell

Cell lengths 5.104, 5.104, 5.104 Å; angles 90.00, 90.00, 90.00 degrees
Fractional coordinates of all 4 atoms:
Eu1 0.000 0.000 0.500
Eu2 0.000 0.500 0.000
Eu3 0.500 0.000 0.000
Ag1 0.500 0.500 0.500

***

[2]
Here is a relaxed structure of EuGa3Ag from Materials Project. Energies are from PBE.

Properties
- Space-group type: No. 119

Cell lengths 4.390, 4.390, 10.948 Å; angles 90.00, 90.00, 90.00 degrees
Fractional coordinates of all 10 atoms:
Eu1 0.000 0.000 0.000
Eu2 0.500 0.500 0.500
Ga1 0.000 0.000 0.386
Ga2 0.000 0.000 0.614
Ga3 0.000 0.500 0.250
Ga4 0.500 0.000 0.750
Ga5 0.500 0.500 0.114
Ga6 0.500 0.500 0.886
Ag1 0.000 0.500 0.750
Ag2 0.500 0.000 0.250

***

[3]
Here is a relaxed structure of EuGaAg from Materials Project. Energies are from PBE.

Properties
- Space-group type: No. 12
- Magnetization: 28.49 Bohr magnetons per cell

Cell lengths 10.754, 4.788, 7.701 Å; angles 90.00, 133.41, 90.00 degrees
Fractional coordinates of all 12 atoms:
Eu1 0.042 0.000 0.297
Eu2 0.458 0.500 0.703
Eu3 0.542 0.500 0.297
Eu4 0.958 0.000 0.703
Ga1 0.160 0.500 0.113
Ga2 0.340 0.000 0.887
Ga3 0.660 0.000 0.113
Ga4 0.840 0.500 0.887
Ag1 0.174 0.500 0.731
Ag2 0.326 0.000 0.269
Ag3 0.674 0.000 0.731
Ag4 0.826 0.500 0.269

***

[4]
Here is a relaxed structure of EuGaAg4 from Materials Project. Energies are from PBE.

Properties
- Space-group type: No. 65

Cell lengths 5.911, 9.591, 4.585 Å; angles 90.00, 90.00, 90.00 degrees
Fractional coordinates of all 12 atoms:
Eu1 0.000 0.000 0.000
Eu2 0.500 0.500 0.000
Ga1 0.000 0.500 0.500
Ga2 0.500 0.000 0.500
Ag1 0.000 0.339 0.000
Ag2 0.000 0.661 0.000
Ag3 0.250 0.250 0.500
Ag4 0.250 0.750 0.500
Ag5 0.500 0.161 0.000
Ag6 0.500 0.839 0.000
Ag7 0.750 0.250 0.500
Ag8 0.750 0.750 0.500

***

[5]
Here is a relaxed structure of EuAg2Ge2 from Materials Project. Energies are from PBE.

Properties
- Space-group type: No. 139

Cell lengths 4.410, 4.410, 11.010 Å; angles 90.00, 90.00, 90.00 degrees
Fractional coordinates of all 10 atoms:
Eu1 0.000 0.000 0.000
Eu2 0.500 0.500 0.500
Ag1 0.000 0.500 0.250
Ag2 0.000 0.500 0.750
Ag3 0.500 0.000 0.250
Ag4 0.500 0.000 0.750
Ge1 0.000 0.000 0.388
Ge2 0.000 0.000 0.612
Ge3 0.500 0.500 0.112
Ge4 0.500 0.500 0.888

***

[6]
Here is a relaxed structure of Eu2AgGe from Materials Project. Energies are from PBE.

Properties
- Space-group type: No. 225
- Magnetization: 54.86 Bohr magnetons per cell

Cell lengths 7.517, 7.517, 7.517 Å; angles 90.00, 90.00, 90.00 degrees
Fractional coordinates of all 16 atoms:
Eu1 0.250 0.250 0.250
Eu2 0.250 0.250 0.750
Eu3 0.250 0.750 0.250
Eu4 0.250 0.750 0.750
Eu5 0.750 0.250 0.250
Eu6 0.750 0.250 0.750
Eu7 0.750 0.750 0.250
Eu8 0.750 0.750 0.750
Ag1 0.000 0.000 0.000
Ag2 0.000 0.500 0.500
Ag3 0.500 0.000 0.500
Ag4 0.500 0.500 0.000
Ge1 0.000 0.000 0.500
Ge2 0.000 0.500 0.000
Ge3 0.500 0.000 0.000
Ge4 0.500 0.500 0.500

***

[7]
Here is a relaxed structure of EuAgGe from Materials Project. Energies are from PBE.

Properties
- Space-group type: No. 12
- Magnetization: 27.76 Bohr magnetons per cell

Cell lengths 10.838, 4.683, 7.641 Å; angles 90.00, 133.47, 90.00 degrees
Fractional coordinates of all 12 atoms:
Eu1 0.038 0.000 0.292
Eu2 0.462 0.500 0.708
Eu3 0.538 0.500 0.292
Eu4 0.962 0.000 0.708
Ag1 0.174 0.500 0.727
Ag2 0.326 0.000 0.273
Ag3 0.674 0.000 0.727
Ag4 0.826 0.500 0.273
Ge1 0.155 0.500 0.107
Ge2 0.345 0.000 0.893
Ge3 0.655 0.000 0.107
Ge4 0.845 0.500 0.893

***

[8]
Here is a relaxed structure of EuAgHg2 from Materials Project. Energies are from PBE.

Properties
- Space-group type: No. 225
- Magnetization: 28.75 Bohr magnetons per cell

Cell lengths 7.399, 7.399, 7.399 Å; angles 90.00, 90.00, 90.00 degrees
Fractional coordinates of all 16 atoms:
Eu1 0.000 0.000 0.000
Eu2 0.000 0.500 0.500
Eu3 0.500 0.000 0.500
Eu4 0.500 0.500 0.000
Ag1 0.000 0.000 0.500
Ag2 0.000 0.500 0.000
Ag3 0.500 0.000 0.000
Ag4 0.500 0.500 0.500
Hg1 0.250 0.250 0.250
Hg2 0.250 0.250 0.750
Hg3 0.250 0.750 0.250
Hg4 0.250 0.750 0.750
Hg5 0.750 0.250 0.250
Hg6 0.750 0.250 0.750
Hg7 0.750 0.750 0.250
Hg8 0.750 0.750 0.750

***

[9]
Here is a relaxed structure of Eu2AgHg from Materials Project. Energies are from PBE.

Properties
- Space-group type: No. 225

Cell lengths 7.801, 7.801, 7.801 Å; angles 90.00, 90.00, 90.00 degrees
Fractional coordinates of all 16 atoms:
Eu1 0.250 0.250 0.250
Eu2 0.250 0.250 0.750
Eu3 0.250 0.750 0.250
Eu4 0.250 0.750 0.750
Eu5 0.750 0.250 0.250
Eu6 0.750 0.250 0.750
Eu7 0.750 0.750 0.250
Eu8 0.750 0.750 0.750
Ag1 0.000 0.000 0.000
Ag2 0.000 0.500 0.500
Ag3 0.500 0.000 0.500
Ag4 0.500 0.500 0.000
Hg1 0.000 0.000 0.500
Hg2 0.000 0.500 0.000
Hg3 0.500 0.000 0.000
Hg4 0.500 0.500 0.500

***

[10]
Here is a relaxed structure of EuInAg2 from Materials Project. Energies are from PBE.

Properties
- Space-group type: No. 225
- Magnetization: 28.27 Bohr magnetons per cell

Cell lengths 7.236, 7.236, 7.236 Å; angles 90.00, 90.00, 90.00 degrees
Fractional coordinates of all 16 atoms:
Eu1 0.000 0.000 0.000
Eu2 0.000 0.500 0.500
Eu3 0.500 0.000 0.500
Eu4 0.500 0.500 0.000
In1 0.000 0.000 0.500
In2 0.000 0.500 0.000
In3 0.500 0.000 0.000
In4 0.500 0.500 0.500
Ag1 0.250 0.250 0.250
Ag2 0.250 0.250 0.750
Ag3 0.250 0.750 0.250
Ag4 0.250 0.750 0.750
Ag5 0.750 0.250 0.250
Ag6 0.750 0.250 0.750
Ag7 0.750 0.750 0.250
Ag8 0.750 0.750 0.750

***

[11]
Here is a relaxed structure of EuIn8Ag4 from Materials Project. Energies are from PBE.

Properties
- Space-group type: No. 139
- Magnetization: 7.07 Bohr magnetons per cell

Cell lengths 8.139, 8.139, 8.139 Å; angles 98.39, 98.39, 135.09 degrees
Fractional coordinates of all 13 atoms:
Eu1 0.000 0.000 0.000
In1 0.000 0.347 0.347
In2 0.000 0.653 0.653
In3 0.288 0.500 0.788
In4 0.347 0.000 0.347
In5 0.500 0.288 0.788
In6 0.500 0.712 0.212
In7 0.653 0.000 0.653
In8 0.712 0.500 0.212
Ag1 0.000 0.000 0.500
Ag2 0.000 0.500 0.000
Ag3 0.500 0.000 0.000
Ag4 0.500 0.500 0.500

***

[12]
Here is a relaxed structure of LaEuAg2 from Materials Project. Energies are from PBE.

Properties
- Space-group type: No. 225
- Magnetization: 28.95 Bohr magnetons per cell

Cell lengths 7.671, 7.671, 7.671 Å; angles 90.00, 90.00, 90.00 degrees
Fractional coordinates of all 16 atoms:
La1 0.000 0.000 0.000
La2 0.000 0.500 0.500
La3 0.500 0.000 0.500
La4 0.500 0.500 0.000
Eu1 0.000 0.000 0.500
Eu2 0.000 0.500 0.000
Eu3 0.500 0.000 0.000
Eu4 0.500 0.500 0.500
Ag1 0.250 0.250 0.250
Ag2 0.250 0.250 0.750
Ag3 0.250 0.750 0.250
Ag4 0.250 0.750 0.750
Ag5 0.750 0.250 0.250
Ag6 0.750 0.250 0.750
Ag7 0.750 0.750 0.250
Ag8 0.750 0.750 0.750

***

[13]
Here is a relaxed structure of EuMgAg from Materials Project. Energies are from PBE.

Properties
- Space-group type: No. 62

Cell lengths 7.749, 4.609, 8.922 Å; angles 90.00, 90.00, 90.00 degrees
Fractional coordinates of all 12 atoms:
Eu1 0.033 0.250 0.178
Eu2 0.467 0.750 0.678
Eu3 0.533 0.250 0.322
Eu4 0.967 0.750 0.822
Mg1 0.139 0.250 0.560
Mg2 0.361 0.750 0.060
Mg3 0.639 0.250 0.940
Mg4 0.861 0.750 0.440
Ag1 0.228 0.750 0.376
Ag2 0.272 0.250 0.876
Ag3 0.728 0.750 0.124
Ag4 0.772 0.250 0.624

***

[14]
Here is a relaxed structure of NdEuAg2 from Materials Project. Energies are from PBE.

Properties
- Space-group type: No. 225

Cell lengths 7.578, 7.578, 7.578 Å; angles 90.00, 90.00, 90.00 degrees
Fractional coordinates of all 16 atoms:
Nd1 0.000 0.000 0.000
Nd2 0.000 0.500 0.500
Nd3 0.500 0.000 0.500
Nd4 0.500 0.500 0.000
Eu1 0.000 0.000 0.500
Eu2 0.000 0.500 0.000
Eu3 0.500 0.000 0.000
Eu4 0.500 0.500 0.500
Ag1 0.250 0.250 0.250
Ag2 0.250 0.250 0.750
Ag3 0.250 0.750 0.250
Ag4 0.250 0.750 0.750
Ag5 0.750 0.250 0.250
Ag6 0.750 0.250 0.750
Ag7 0.750 0.750 0.250
Ag8 0.750 0.750 0.750

***

[15]
Here is a relaxed structure of EuAgO2 from Materials Project. Energies are from PBE.

Properties
- Space-group type: No. 194

Cell lengths 3.670, 3.670, 12.445 Å; angles 90.00, 90.00, 120.00 degrees
Fractional coordinates of all 8 atoms:
Eu1 0.000 0.000 0.000
Eu2 0.000 0.000 0.500
Ag1 0.333 0.667 0.250
Ag2 0.667 0.333 0.750
O1 0.333 0.667 0.085
O2 0.333 0.667 0.415
O3 0.667 0.333 0.585
O4 0.667 0.333 0.915

***

[16]
Here is a relaxed structure of EuAgO3 from Materials Project. Energies are from PBE.

Properties
- Space-group type: No. 221
- Magnetization: 6.49 Bohr magnetons per cell

Cell lengths 4.089, 4.089, 4.089 Å; angles 90.00, 90.00, 90.00 degrees
Fractional coordinates of all 5 atoms:
Eu1 0.000 0.000 0.000
Ag1 0.500 0.500 0.500
O1 0.000 0.500 0.500
O2 0.500 0.000 0.500
O3 0.500 0.500 0.000

***

[17]
Here is a relaxed structure of EuAgO2 from Materials Project. Energies are from PBE.

Properties
- Space-group type: No. 12

Cell lengths 6.389, 3.687, 6.465 Å; angles 90.00, 105.57, 90.00 degrees
Fractional coordinates of all 8 atoms:
Eu1 0.000 0.000 0.000
Eu2 0.500 0.500 0.000
Ag1 0.000 0.500 0.500
Ag2 0.500 0.000 0.500
O1 0.122 0.500 0.831
O2 0.378 0.000 0.169
O3 0.622 0.000 0.831
O4 0.878 0.500 0.169

***

[18]
Here is a relaxed structure of EuAgP from Materials Project. Energies are from PBE.

Properties
- Space-group type: No. 194

Cell lengths 4.408, 4.408, 8.042 Å; angles 90.00, 90.00, 120.00 degrees
Fractional coordinates of all 6 atoms:
Eu1 0.000 0.000 0.000
Eu2 0.000 0.000 0.500
Ag1 0.333 0.667 0.250
Ag2 0.667 0.333 0.750
P1 0.333 0.667 0.750
P2 0.667 0.333 0.250

***

[19]
Here is a relaxed structure of Eu2AgPd from Materials Project. Energies are from PBE.

Properties
- Space-group type: No. 225
- Magnetization: 57.11 Bohr magnetons per cell

Cell lengths 7.404, 7.404, 7.404 Å; angles 90.00, 90.00, 90.00 degrees
Fractional coordinates of all 16 atoms:
Eu1 0.250 0.250 0.250
Eu2 0.250 0.250 0.750
Eu3 0.250 0.750 0.250
Eu4 0.250 0.750 0.750
Eu5 0.750 0.250 0.250
Eu6 0.750 0.250 0.750
Eu7 0.750 0.750 0.250
Eu8 0.750 0.750 0.750
Ag1 0.000 0.000 0.000
Ag2 0.000 0.500 0.500
Ag3 0.500 0.000 0.500
Ag4 0.500 0.500 0.000
Pd1 0.000 0.000 0.500
Pd2 0.000 0.500 0.000
Pd3 0.500 0.000 0.000
Pd4 0.500 0.500 0.500

***

[20]
Here is a relaxed structure of PrEuAg2 from Materials Project. Energies are from PBE.

Properties
- Space-group type: No. 225

Cell lengths 7.565, 7.565, 7.565 Å; angles 90.00, 90.00, 90.00 degrees
Fractional coordinates of all 16 atoms:
Pr1 0.000 0.000 0.000
Pr2 0.000 0.500 0.500
Pr3 0.500 0.000 0.500
Pr4 0.500 0.500 0.000
Eu1 0.000 0.000 0.500
Eu2 0.000 0.500 0.000
Eu3 0.500 0.000 0.000
Eu4 0.500 0.500 0.500
Ag1 0.250 0.250 0.250
Ag2 0.250 0.250 0.750
Ag3 0.250 0.750 0.250
Ag4 0.250 0.750 0.750
Ag5 0.750 0.250 0.250
Ag6 0.750 0.250 0.750
Ag7 0.750 0.750 0.250
Ag8 0.750 0.750 0.750

***

[21]
Here is a relaxed structure of Eu2AgPt from Materials Project. Energies are from PBE.

Properties
- Space-group type: No. 225
- Magnetization: 56.78 Bohr magnetons per cell

Cell lengths 7.401, 7.401, 7.401 Å; angles 90.00, 90.00, 90.00 degrees
Fractional coordinates of all 16 atoms:
Eu1 0.250 0.250 0.250
Eu2 0.250 0.250 0.750
Eu3 0.250 0.750 0.250
Eu4 0.250 0.750 0.750
Eu5 0.750 0.250 0.250
Eu6 0.750 0.250 0.750
Eu7 0.750 0.750 0.250
Eu8 0.750 0.750 0.750
Ag1 0.000 0.000 0.000
Ag2 0.000 0.500 0.500
Ag3 0.500 0.000 0.500
Ag4 0.500 0.500 0.000
Pt1 0.000 0.000 0.500
Pt2 0.000 0.500 0.000
Pt3 0.500 0.000 0.000
Pt4 0.500 0.500 0.500

***

[22]
Here is a relaxed structure of Eu2AgRh from Materials Project. Energies are from PBE.

Properties
- Space-group type: No. 225
- Magnetization: 55.96 Bohr magnetons per cell

Cell lengths 7.324, 7.324, 7.324 Å; angles 90.00, 90.00, 90.00 degrees
Fractional coordinates of all 16 atoms:
Eu1 0.250 0.250 0.250
Eu2 0.250 0.250 0.750
Eu3 0.250 0.750 0.250
Eu4 0.250 0.750 0.750
Eu5 0.750 0.250 0.250
Eu6 0.750 0.250 0.750
Eu7 0.750 0.750 0.250
Eu8 0.750 0.750 0.750
Ag1 0.000 0.000 0.000
Ag2 0.000 0.500 0.500
Ag3 0.500 0.000 0.500
Ag4 0.500 0.500 0.000
Rh1 0.000 0.000 0.500
Rh2 0.000 0.500 0.000
Rh3 0.500 0.000 0.000
Rh4 0.500 0.500 0.500

***

[23]
Here is a relaxed structure of Eu2AgSb from Materials Project. Energies are from PBE.

Properties
- Space-group type: No. 225
- Magnetization: 55.98 Bohr magnetons per cell

Cell lengths 7.764, 7.764, 7.764 Å; angles 90.00, 90.00, 90.00 degrees
Fractional coordinates of all 16 atoms:
Eu1 0.250 0.250 0.250
Eu2 0.250 0.250 0.750
Eu3 0.250 0.750 0.250
Eu4 0.250 0.750 0.750
Eu5 0.750 0.250 0.250
Eu6 0.750 0.250 0.750
Eu7 0.750 0.750 0.250
Eu8 0.750 0.750 0.750
Ag1 0.000 0.000 0.000
Ag2 0.000 0.500 0.500
Ag3 0.500 0.000 0.500
Ag4 0.500 0.500 0.000
Sb1 0.000 0.000 0.500
Sb2 0.000 0.500 0.000
Sb3 0.500 0.000 0.000
Sb4 0.500 0.500 0.500

***

[24]
Here is a relaxed structure of EuSi2Ag2 from Materials Project. Energies are from PBE.

Properties
- Space-group type: No. 139

Cell lengths 4.314, 4.314, 10.636 Å; angles 90.00, 90.00, 90.00 degrees
Fractional coordinates of all 10 atoms:
Eu1 0.000 0.000 0.000
Eu2 0.500 0.500 0.500
Si1 0.000 0.000 0.391
Si2 0.000 0.000 0.609
Si3 0.500 0.500 0.109
Si4 0.500 0.500 0.891
Ag1 0.000 0.500 0.250
Ag2 0.000 0.500 0.750
Ag3 0.500 0.000 0.250
Ag4 0.500 0.000 0.750

***

[25]
Here is a relaxed structure of EuAgSn from Materials Project. Energies are from PBE.

Properties
- Space-group type: No. 12

Cell lengths 11.467, 4.910, 7.813 Å; angles 90.00, 132.37, 90.00 degrees
Fractional coordinates of all 12 atoms:
Eu1 0.035 0.000 0.289
Eu2 0.465 0.500 0.711
Eu3 0.535 0.500 0.289
Eu4 0.965 0.000 0.711
Ag1 0.165 0.500 0.711
Ag2 0.335 0.000 0.289
Ag3 0.665 0.000 0.711
Ag4 0.835 0.500 0.289
Sn1 0.167 0.500 0.119
Sn2 0.333 0.000 0.881
Sn3 0.667 0.000 0.119
Sn4 0.833 0.500 0.881

***

[26]
Here is a relaxed structure of AgF from Materials Project. Energies are from PBE.

Properties
- Space-group type: No. 225

Cell lengths 5.029, 5.029, 5.029 Å; angles 90.00, 90.00, 90.00 degrees
Fractional coordinates of all 8 atoms:
Ag1 0.000 0.000 0.000
Ag2 0.000 0.500 0.500
Ag3 0.500 0.000 0.500
Ag4 0.500 0.500 0.000
F1 0.000 0.000 0.500
F2 0.000 0.500 0.000
F3 0.500 0.000 0.000
F4 0.500 0.500 0.500

***

[27]
Here is a relaxed structure of AgF2 from Materials Project. Energies are from PBE.

Properties
- Space-group type: No. 61

Cell lengths 5.327, 5.733, 5.968 Å; angles 90.00, 90.00, 90.00 degrees
Fractional coordinates of all 12 atoms:
Ag1 0.000 0.000 0.000
Ag2 0.000 0.500 0.500
Ag3 0.500 0.000 0.500
Ag4 0.500 0.500 0.000
F1 0.191 0.199 0.384
F2 0.191 0.301 0.884
F3 0.309 0.699 0.384
F4 0.309 0.801 0.884
F5 0.691 0.199 0.116
F6 0.691 0.301 0.616
F7 0.809 0.699 0.116
F8 0.809 0.801 0.616

***

Result set for formation energy: -0.19 -2.09 -1.27 -1.38 -1.86 -1.97 -1.40 -1.34 -1.69 -1.11 -1.03 -1.17 -0.85 -1.13 -8.53 -7.57 -8.52 -2.30 -1.95 -1.13 -2.49 -1.31 -3.10 -1.78 -1.47 -2.46 -4.29 eV per formula unit, one per record in the order listed.